(1)
VASP calculation (PBE) on a relaxed Na10Hf5Mg3Si6S6O48 crystal.

Properties
MP2020-corrected energy = -7.42 eV per atom
mass density = 3.586 g cm⁻³
energy of formation = -2.770 eV per atom
SG = No. 1

a = 18.042 Å, b = 9.009 Å, c = 22.888 Å
α = 90.07°, β = 89.84°, γ = 119.79°
Positions (direct):
Na (0.317, 0.999, 0.247)
Na (0.195, 0.371, 0.246)
Na (0.689, 0.369, 0.246)
Na (0.998, 0.641, 0.251)
Na (0.319, 0.620, 0.753)
Na (0.819, 0.629, 0.749)
Na (0.995, 0.363, 0.750)
Na (0.498, 0.373, 0.745)
Na (0.180, 0.007, 0.748)
Na (0.685, 0.009, 0.749)
Na (0.646, 0.345, 0.579)
Na (0.324, 0.684, 0.081)
Na (0.826, 0.686, 0.086)
Na (0.165, 0.316, 0.921)
Na (0.991, 0.307, 0.419)
Na (0.165, 0.030, 0.418)
Na (0.663, 0.031, 0.415)
Na (0.844, 0.668, 0.417)
Na (0.001, 0.004, 0.499)
Na (0.496, 0.009, 0.496)
Na (0.005, 0.019, 0.000)
Na (0.502, 0.017, 0.997)
Na (0.341, 0.351, 0.834)
Na (0.837, 0.334, 0.829)
Na (0.336, 0.355, 0.328)
Na (0.832, 0.334, 0.331)
Na (0.169, 0.663, 0.160)
Na (0.666, 0.663, 0.161)
Na (0.162, 0.661, 0.663)
Na (0.661, 0.664, 0.663)
Hf (0.001, 0.992, 0.353)
Hf (0.998, 0.005, 0.849)
Hf (0.502, 0.999, 0.857)
Hf (0.001, 0.002, 0.651)
Hf (0.503, 0.006, 0.647)
Hf (0.006, 0.999, 0.147)
Hf (0.500, 0.002, 0.146)
Hf (0.335, 0.341, 0.979)
Hf (0.830, 0.327, 0.981)
Hf (0.338, 0.339, 0.484)
Hf (0.833, 0.335, 0.478)
Hf (0.172, 0.666, 0.316)
Hf (0.674, 0.672, 0.317)
Hf (0.159, 0.647, 0.819)
Hf (0.659, 0.656, 0.813)
Mg (0.497, 0.996, 0.352)
Mg (0.339, 0.348, 0.683)
Mg (0.836, 0.335, 0.689)
Mg (0.329, 0.344, 0.185)
Mg (0.829, 0.337, 0.182)
Mg (0.167, 0.644, 0.016)
Mg (0.659, 0.642, 0.019)
Mg (0.162, 0.658, 0.515)
Mg (0.662, 0.655, 0.516)
Si (0.151, 0.001, 0.251)
Si (0.359, 0.708, 0.252)
Si (0.853, 0.704, 0.248)
Si (0.150, 0.294, 0.749)
Si (0.647, 0.290, 0.750)
Si (0.001, 0.708, 0.750)
Si (0.497, 0.707, 0.750)
Si (0.852, 0.000, 0.749)
Si (0.483, 0.340, 0.587)
Si (0.186, 0.337, 0.084)
Si (0.686, 0.338, 0.086)
Si (0.314, 0.673, 0.919)
Si (0.016, 0.368, 0.920)
Si (0.520, 0.373, 0.919)
Si (0.810, 0.954, 0.421)
Si (0.170, 0.376, 0.419)
Si (0.659, 0.363, 0.419)
Si (0.025, 0.668, 0.418)
S (0.645, 0.998, 0.251)
S (0.997, 0.289, 0.250)
S (0.500, 0.291, 0.251)
S (0.354, 0.000, 0.750)
S (0.980, 0.335, 0.584)
S (0.188, 0.039, 0.584)
S (0.689, 0.038, 0.584)
S (0.331, 0.626, 0.584)
S (0.834, 0.627, 0.584)
S (0.480, 0.622, 0.085)
S (0.980, 0.621, 0.084)
S (0.332, 0.043, 0.085)
S (0.832, 0.043, 0.084)
S (0.813, 0.668, 0.919)
S (0.166, 0.954, 0.919)
S (0.668, 0.954, 0.919)
S (0.314, 0.958, 0.419)
S (0.522, 0.667, 0.417)
O (0.104, 0.035, 0.307)
O (0.608, 0.030, 0.304)
O (0.414, 0.811, 0.307)
O (0.911, 0.797, 0.306)
O (0.488, 0.187, 0.303)
O (0.986, 0.189, 0.303)
O (0.105, 0.175, 0.807)
O (0.599, 0.164, 0.804)
O (0.483, 0.802, 0.805)
O (0.984, 0.798, 0.806)
O (0.409, 0.030, 0.802)
O (0.915, 0.035, 0.805)
O (0.393, 0.967, 0.698)
O (0.898, 0.959, 0.693)
O (0.083, 0.206, 0.695)
O (0.584, 0.207, 0.692)
O (0.020, 0.836, 0.694)
O (0.515, 0.832, 0.693)
O (0.399, 0.833, 0.192)
O (0.897, 0.824, 0.190)
O (0.013, 0.207, 0.198)
O (0.518, 0.212, 0.198)
O (0.083, 0.964, 0.196)
O (0.591, 0.977, 0.198)
O (0.436, 0.352, 0.644)
O (0.937, 0.353, 0.636)
O (0.238, 0.122, 0.637)
O (0.740, 0.124, 0.636)
O (0.318, 0.523, 0.637)
O (0.823, 0.519, 0.636)
O (0.441, 0.517, 0.136)
O (0.942, 0.522, 0.138)
O (0.326, 0.125, 0.139)
O (0.823, 0.127, 0.136)
O (0.244, 0.363, 0.141)
O (0.743, 0.366, 0.143)
O (0.232, 0.304, 0.025)
O (0.735, 0.308, 0.029)
O (0.425, 0.546, 0.032)
O (0.923, 0.538, 0.033)
O (0.348, 0.151, 0.033)
O (0.847, 0.152, 0.031)
O (0.229, 0.148, 0.530)
O (0.729, 0.152, 0.531)
O (0.344, 0.540, 0.532)
O (0.846, 0.543, 0.531)
O (0.420, 0.310, 0.529)
O (0.927, 0.312, 0.530)
O (0.274, 0.703, 0.977)
O (0.774, 0.695, 0.971)
O (0.080, 0.459, 0.972)
O (0.579, 0.464, 0.973)
O (0.154, 0.851, 0.969)
O (0.658, 0.853, 0.970)
O (0.273, 0.853, 0.470)
O (0.767, 0.832, 0.475)
O (0.148, 0.460, 0.473)
O (0.652, 0.452, 0.477)
O (0.086, 0.714, 0.473)
O (0.575, 0.695, 0.469)
O (0.061, 0.628, 0.357)
O (0.560, 0.637, 0.364)
O (0.259, 0.883, 0.364)
O (0.750, 0.876, 0.361)
O (0.182, 0.486, 0.358)
O (0.682, 0.491, 0.360)
O (0.057, 0.478, 0.858)
O (0.562, 0.488, 0.858)
O (0.179, 0.879, 0.863)
O (0.682, 0.882, 0.864)
O (0.255, 0.637, 0.859)
O (0.761, 0.643, 0.864)
O (0.008, 0.831, 0.411)
O (0.513, 0.820, 0.410)
O (0.400, 0.982, 0.410)
O (0.907, 0.986, 0.409)
O (0.083, 0.186, 0.409)
O (0.584, 0.168, 0.408)
O (0.012, 0.181, 0.911)
O (0.510, 0.184, 0.908)
O (0.091, 0.980, 0.911)
O (0.592, 0.977, 0.912)
O (0.410, 0.833, 0.909)
O (0.900, 0.818, 0.911)
O (0.492, 0.161, 0.588)
O (0.987, 0.176, 0.587)
O (0.101, 0.025, 0.587)
O (0.603, 0.031, 0.588)
O (0.410, 0.796, 0.589)
O (0.914, 0.798, 0.588)
O (0.484, 0.795, 0.091)
O (0.981, 0.792, 0.088)
O (0.411, 0.020, 0.090)
O (0.910, 0.020, 0.088)
O (0.089, 0.161, 0.089)
O (0.591, 0.162, 0.091)
O (0.343, 0.150, 0.743)
O (0.844, 0.168, 0.742)
O (0.242, 0.306, 0.742)
O (0.741, 0.313, 0.742)
O (0.415, 0.517, 0.746)
O (0.919, 0.522, 0.743)
O (0.342, 0.517, 0.246)
O (0.846, 0.515, 0.246)
O (0.423, 0.305, 0.241)
O (0.923, 0.313, 0.242)
O (0.246, 0.162, 0.245)
O (0.732, 0.150, 0.243)
O (0.317, 0.490, 0.923)
O (0.821, 0.511, 0.924)
O (0.423, 0.348, 0.924)
O (0.921, 0.349, 0.925)
O (0.243, 0.131, 0.922)
O (0.745, 0.131, 0.923)
O (0.318, 0.130, 0.424)
O (0.822, 0.148, 0.426)
O (0.251, 0.340, 0.425)
O (0.751, 0.355, 0.425)
O (0.434, 0.512, 0.424)
O (0.928, 0.499, 0.426)
O (0.180, 0.510, 0.081)
O (0.684, 0.516, 0.079)
O (0.066, 0.652, 0.076)
O (0.567, 0.654, 0.077)
O (0.257, 0.872, 0.079)
O (0.757, 0.872, 0.076)
O (0.180, 0.869, 0.577)
O (0.678, 0.870, 0.576)
O (0.256, 0.648, 0.576)
O (0.758, 0.644, 0.579)
O (0.065, 0.488, 0.578)
O (0.579, 0.501, 0.580)
O (0.152, 0.821, 0.257)
O (0.651, 0.839, 0.255)
O (0.260, 0.693, 0.256)
O (0.755, 0.679, 0.255)
O (0.077, 0.462, 0.255)
O (0.578, 0.464, 0.256)
O (0.158, 0.485, 0.755)
O (0.656, 0.480, 0.757)
O (0.092, 0.702, 0.756)
O (0.587, 0.699, 0.756)
O (0.268, 0.845, 0.756)
O (0.760, 0.827, 0.759)

---

(2)
VASP calculation (PBE) on a relaxed Na10Hf4Mg4Si5S7O48 crystal.

Properties
MP2020-corrected energy = -7.20 eV per atom
mass density = 3.400 g cm⁻³
energy of formation = -2.674 eV per atom
SG = No. 1

a = 18.006 Å, b = 9.053 Å, c = 22.600 Å
α = 89.96°, β = 89.53°, γ = 120.15°
Positions (direct):
Na (0.326, 0.026, 0.252)
Na (0.673, 0.342, 0.254)
Na (0.998, 0.636, 0.238)
Na (0.499, 0.628, 0.236)
Na (0.323, 0.621, 0.755)
Na (0.823, 0.621, 0.754)
Na (0.997, 0.368, 0.736)
Na (0.498, 0.369, 0.736)
Na (0.173, 0.006, 0.752)
Na (0.674, 0.007, 0.751)
Na (0.334, 0.971, 0.570)
Na (0.834, 0.972, 0.569)
Na (0.335, 0.698, 0.070)
Na (0.833, 0.697, 0.069)
Na (0.482, 0.680, 0.908)
Na (0.982, 0.680, 0.907)
Na (0.484, 0.287, 0.406)
Na (0.166, 0.028, 0.405)
Na (0.986, 0.008, 0.493)
Na (0.500, 0.998, 0.493)
Na (0.996, 0.003, 0.992)
Na (0.495, 0.997, 0.994)
Na (0.325, 0.344, 0.828)
Na (0.825, 0.344, 0.827)
Na (0.327, 0.326, 0.322)
Na (0.817, 0.276, 0.330)
Na (0.153, 0.664, 0.156)
Na (0.650, 0.673, 0.159)
Na (0.145, 0.631, 0.658)
Na (0.648, 0.634, 0.657)
Hf (0.006, 0.009, 0.648)
Hf (0.507, 0.010, 0.648)
Hf (0.004, 0.996, 0.147)
Hf (0.507, 0.004, 0.148)
Hf (0.335, 0.344, 0.981)
Hf (0.835, 0.343, 0.981)
Hf (0.338, 0.334, 0.481)
Hf (0.837, 0.325, 0.480)
Hf (0.169, 0.673, 0.316)
Hf (0.671, 0.684, 0.313)
Hf (0.168, 0.658, 0.815)
Hf (0.668, 0.659, 0.816)
Mg (0.997, 0.004, 0.353)
Mg (0.501, 0.005, 0.351)
Mg (0.999, 0.995, 0.851)
Mg (0.499, 0.995, 0.852)
Mg (0.339, 0.345, 0.685)
Mg (0.839, 0.345, 0.684)
Mg (0.337, 0.333, 0.185)
Mg (0.835, 0.325, 0.184)
Mg (0.166, 0.668, 0.018)
Mg (0.664, 0.667, 0.019)
Mg (0.163, 0.655, 0.519)
Mg (0.667, 0.663, 0.518)
Si (0.148, 0.006, 0.255)
Si (0.650, 0.010, 0.252)
Si (0.499, 0.295, 0.254)
Si (0.147, 0.289, 0.752)
Si (0.647, 0.290, 0.753)
Si (0.999, 0.704, 0.754)
Si (0.499, 0.704, 0.754)
Si (0.485, 0.337, 0.586)
Si (0.984, 0.336, 0.587)
Si (0.484, 0.633, 0.086)
Si (0.984, 0.625, 0.087)
Si (0.317, 0.677, 0.922)
Si (0.817, 0.678, 0.922)
Si (0.316, 0.956, 0.423)
Si (0.818, 0.958, 0.422)
S (0.353, 0.709, 0.251)
S (0.855, 0.712, 0.251)
S (0.000, 0.290, 0.251)
S (0.354, 0.998, 0.751)
S (0.854, 0.998, 0.751)
S (0.187, 0.042, 0.585)
S (0.688, 0.043, 0.585)
S (0.332, 0.627, 0.585)
S (0.833, 0.626, 0.585)
S (0.332, 0.039, 0.085)
S (0.833, 0.040, 0.085)
S (0.188, 0.333, 0.086)
S (0.687, 0.334, 0.085)
S (0.021, 0.370, 0.919)
S (0.520, 0.369, 0.919)
S (0.169, 0.961, 0.918)
S (0.669, 0.961, 0.918)
S (0.166, 0.374, 0.419)
S (0.669, 0.377, 0.417)
S (0.020, 0.665, 0.418)
S (0.522, 0.672, 0.418)
O (0.103, 0.017, 0.315)
O (0.602, 0.035, 0.308)
O (0.406, 0.791, 0.302)
O (0.910, 0.799, 0.301)
O (0.481, 0.181, 0.313)
O (0.990, 0.190, 0.304)
O (0.101, 0.170, 0.808)
O (0.600, 0.169, 0.808)
O (0.482, 0.782, 0.813)
O (0.983, 0.783, 0.813)
O (0.408, 0.027, 0.802)
O (0.908, 0.026, 0.802)
O (0.391, 0.968, 0.695)
O (0.891, 0.968, 0.696)
O (0.084, 0.209, 0.693)
O (0.584, 0.210, 0.693)
O (0.015, 0.834, 0.697)
O (0.515, 0.834, 0.697)
O (0.390, 0.816, 0.196)
O (0.892, 0.814, 0.194)
O (0.010, 0.209, 0.196)
O (0.513, 0.193, 0.197)
O (0.080, 0.966, 0.198)
O (0.587, 0.967, 0.193)
O (0.437, 0.344, 0.645)
O (0.939, 0.344, 0.647)
O (0.238, 0.129, 0.637)
O (0.737, 0.126, 0.639)
O (0.323, 0.530, 0.640)
O (0.824, 0.531, 0.640)
O (0.436, 0.529, 0.145)
O (0.937, 0.522, 0.147)
O (0.323, 0.117, 0.140)
O (0.823, 0.122, 0.137)
O (0.240, 0.348, 0.137)
O (0.737, 0.350, 0.138)
O (0.226, 0.305, 0.031)
O (0.730, 0.309, 0.032)
O (0.418, 0.531, 0.028)
O (0.918, 0.529, 0.029)
O (0.340, 0.143, 0.032)
O (0.843, 0.142, 0.030)
O (0.229, 0.149, 0.530)
O (0.730, 0.151, 0.532)
O (0.340, 0.537, 0.532)
O (0.841, 0.538, 0.532)
O (0.420, 0.308, 0.527)
O (0.917, 0.306, 0.530)
O (0.268, 0.681, 0.981)
O (0.768, 0.682, 0.981)
O (0.072, 0.459, 0.970)
O (0.572, 0.458, 0.970)
O (0.156, 0.847, 0.967)
O (0.657, 0.848, 0.967)
O (0.265, 0.851, 0.481)
O (0.773, 0.858, 0.482)
O (0.157, 0.456, 0.470)
O (0.656, 0.465, 0.467)
O (0.074, 0.683, 0.468)
O (0.573, 0.687, 0.469)
O (0.058, 0.635, 0.362)
O (0.559, 0.636, 0.363)
O (0.253, 0.864, 0.363)
O (0.754, 0.857, 0.365)
O (0.176, 0.475, 0.363)
O (0.679, 0.472, 0.360)
O (0.059, 0.481, 0.864)
O (0.558, 0.481, 0.863)
O (0.179, 0.884, 0.861)
O (0.680, 0.885, 0.861)
O (0.259, 0.654, 0.861)
O (0.759, 0.654, 0.862)
O (0.013, 0.820, 0.412)
O (0.509, 0.818, 0.410)
O (0.412, 0.989, 0.416)
O (0.912, 0.985, 0.411)
O (0.093, 0.198, 0.414)
O (0.593, 0.203, 0.414)
O (0.009, 0.201, 0.911)
O (0.509, 0.201, 0.911)
O (0.093, 0.983, 0.914)
O (0.593, 0.983, 0.914)
O (0.413, 0.839, 0.916)
O (0.914, 0.840, 0.916)
O (0.484, 0.149, 0.586)
O (0.984, 0.149, 0.586)
O (0.100, 0.023, 0.586)
O (0.600, 0.023, 0.587)
O (0.413, 0.800, 0.586)
O (0.912, 0.801, 0.587)
O (0.484, 0.819, 0.086)
O (0.985, 0.816, 0.089)
O (0.412, 0.026, 0.086)
O (0.914, 0.028, 0.088)
O (0.099, 0.179, 0.090)
O (0.600, 0.178, 0.087)
O (0.339, 0.142, 0.744)
O (0.838, 0.142, 0.744)
O (0.242, 0.313, 0.742)
O (0.742, 0.314, 0.742)
O (0.419, 0.512, 0.745)
O (0.919, 0.512, 0.746)
O (0.340, 0.536, 0.244)
O (0.846, 0.540, 0.245)
O (0.420, 0.331, 0.245)
O (0.926, 0.319, 0.247)
O (0.244, 0.160, 0.244)
O (0.744, 0.180, 0.242)
O (0.326, 0.497, 0.922)
O (0.827, 0.498, 0.922)
O (0.433, 0.356, 0.923)
O (0.933, 0.357, 0.923)
O (0.249, 0.131, 0.923)
O (0.749, 0.132, 0.923)
O (0.321, 0.151, 0.423)
O (0.824, 0.152, 0.423)
O (0.247, 0.361, 0.421)
O (0.749, 0.366, 0.423)
O (0.434, 0.510, 0.422)
O (0.932, 0.513, 0.423)
O (0.181, 0.487, 0.080)
O (0.679, 0.487, 0.079)
O (0.078, 0.653, 0.076)
O (0.578, 0.657, 0.076)
O (0.258, 0.863, 0.081)
O (0.760, 0.864, 0.080)
O (0.180, 0.874, 0.579)
O (0.680, 0.873, 0.580)
O (0.259, 0.654, 0.580)
O (0.758, 0.653, 0.581)
O (0.078, 0.499, 0.576)
O (0.579, 0.500, 0.575)
O (0.152, 0.820, 0.257)
O (0.657, 0.832, 0.256)
O (0.266, 0.696, 0.257)
O (0.767, 0.686, 0.256)
O (0.080, 0.466, 0.254)
O (0.591, 0.483, 0.257)
O (0.159, 0.485, 0.757)
O (0.659, 0.485, 0.758)
O (0.090, 0.697, 0.757)
O (0.591, 0.698, 0.757)
O (0.267, 0.839, 0.756)
O (0.768, 0.838, 0.757)